Compound: Na5Ga3Si3GeS3O24
Source: the Materials Project database
Functional: PBE
Structure: relaxed

Calculated values
Energy, eV/cell: -722.27
Space group: P1, No. 1
ΔH_f (0 K), eV/atom: -2.295
Total moment, μB/atom: 0.0000

abc: 8.747 8.749 22.047
angles: 88.74 88.22 60.39
Sites, in units of the cell vectors:
Na 0.000 0.000 0.000
Na 0.001 0.007 0.503
Na 0.008 0.361 0.249
Na 0.039 0.278 0.921
Na 0.043 0.647 0.411
Na 0.305 0.009 0.423
Na 0.310 0.659 0.914
Na 0.343 0.694 0.586
Na 0.351 0.320 0.333
Na 0.357 0.312 0.832
Na 0.370 0.622 0.255
Na 0.378 0.981 0.746
Na 0.644 0.340 0.755
Na 0.686 0.668 0.666
Na 0.696 0.656 0.161
Ga 0.003 0.980 0.852
Ga 0.004 0.989 0.144
Ga 0.022 0.975 0.354
Ga 0.026 0.976 0.652
Ga 0.315 0.338 0.181
Ga 0.362 0.300 0.689
Ga 0.664 0.652 0.517
Ga 0.681 0.628 0.017
Ga 0.695 0.640 0.320
Si 0.001 0.704 0.249
Si 0.045 0.320 0.083
Si 0.298 0.687 0.751
Si 0.345 0.027 0.585
Si 0.390 0.937 0.920
Si 0.391 0.642 0.418
Si 0.678 0.355 0.917
Si 0.733 0.972 0.751
Si 0.963 0.357 0.418
Ge 0.325 0.324 0.481
Ge 0.361 0.286 0.980
Ge 0.646 0.671 0.814
S 0.008 0.282 0.751
S 0.050 0.606 0.583
S 0.309 0.985 0.249
S 0.343 0.609 0.083
S 0.629 0.032 0.085
S 0.635 0.313 0.582
S 0.674 0.947 0.417
S 0.718 0.270 0.249
S 0.961 0.652 0.917
O 0.033 0.137 0.088
O 0.038 0.781 0.584
O 0.043 0.781 0.311
O 0.044 0.171 0.806
O 0.125 0.347 0.146
O 0.139 0.497 0.636
O 0.142 0.492 0.921
O 0.163 0.530 0.525
O 0.165 0.007 0.587
O 0.165 0.302 0.743
O 0.167 0.332 0.424
O 0.180 0.289 0.023
O 0.182 0.782 0.087
O 0.184 0.502 0.245
O 0.188 0.776 0.813
O 0.190 0.810 0.412
O 0.193 0.962 0.914
O 0.197 0.022 0.306
O 0.223 0.958 0.197
O 0.232 0.813 0.690
O 0.321 0.147 0.522
O 0.325 0.519 0.029
O 0.329 0.488 0.742
O 0.331 0.143 0.243
O 0.365 0.139 0.923
O 0.366 0.118 0.644
O 0.370 0.463 0.427
O 0.370 0.502 0.140
O 0.462 0.695 0.476
O 0.481 0.824 0.255
O 0.485 0.356 0.928
O 0.485 0.809 0.976
O 0.501 0.628 0.080
O 0.502 0.665 0.755
O 0.502 0.865 0.855
O 0.507 0.617 0.355
O 0.515 0.123 0.423
O 0.519 0.123 0.139
O 0.519 0.828 0.578
O 0.526 0.346 0.638
O 0.528 0.140 0.746
O 0.540 0.290 0.244
O 0.545 0.295 0.528
O 0.556 0.142 0.027
O 0.632 0.488 0.856
O 0.639 0.870 0.364
O 0.640 0.861 0.080
O 0.649 0.477 0.578
O 0.695 0.453 0.253
O 0.707 0.836 0.472
O 0.712 0.792 0.758
O 0.729 0.433 0.973
O 0.798 0.168 0.305
O 0.806 0.015 0.087
O 0.808 0.029 0.807
O 0.809 0.157 0.586
O 0.830 0.673 0.255
O 0.831 0.966 0.410
O 0.832 0.195 0.195
O 0.845 0.458 0.477
O 0.846 0.950 0.688
O 0.848 0.456 0.757
O 0.849 0.163 0.909
O 0.855 0.499 0.077
O 0.858 0.678 0.973
O 0.877 0.621 0.577
O 0.882 0.620 0.864
O 0.902 0.478 0.356
O 0.975 0.202 0.697
O 0.983 0.823 0.190
O 0.986 0.807 0.913
O 0.994 0.158 0.410

***

Compound: Nb6GaGe
Source: the Materials Project database
Functional: PBE
Structure: relaxed

Calculated values
Energy, eV/cell: -69.97
Space group: Pm-3, No. 200
ΔH_f (0 K), eV/atom: -0.214
Total moment, μB/atom: 0.0067

abc: 5.185 5.185 5.185
angles: 90.00 90.00 90.00
Sites, in units of the cell vectors:
Nb 0.000 0.255 0.500
Nb 0.000 0.745 0.500
Nb 0.255 0.500 0.000
Nb 0.500 0.000 0.255
Nb 0.500 0.000 0.745
Nb 0.745 0.500 0.000
Ga 0.000 0.000 0.000
Ge 0.500 0.500 0.500